# 1
Below is an optimized crystal structure of Ti3NbCu2P6O24, with properties calculated at the PBE level.

Geometry as POSCAR:
```
Ti3NbCu2P6O24
1.0
7.5333 -4.3611 0.0000
7.5333 4.3611 0.0000
5.0085 0.0000 7.1193
Ti Nb Cu P O
3 1 2 6 24
direct
0.1424 0.1424 0.1424
0.3583 0.3583 0.3583
0.6425 0.6425 0.6425
0.8588 0.8588 0.8588
0.0024 0.0024 0.0024
0.5000 0.5000 0.5000
0.7486 0.0420 0.4553
0.0420 0.4553 0.7486
0.5350 0.2555 0.9606
0.9606 0.5350 0.2555
0.2555 0.9606 0.5350
0.4553 0.7486 0.0420
0.3042 0.1254 0.4994
0.4994 0.3042 0.1254
0.9160 0.0589 0.2700
0.1254 0.4994 0.3042
0.8020 0.0038 0.6203
0.5838 0.2289 0.4404
0.0589 0.2700 0.9160
0.2289 0.4404 0.5838
0.3750 0.1976 0.9993
0.4404 0.5838 0.2289
0.7253 0.0885 0.9426
0.9993 0.3750 0.1976
0.0038 0.6203 0.8020
0.2700 0.9160 0.0589
0.5573 0.4171 0.7718
0.6203 0.8020 0.0038
0.7718 0.5573 0.4171
0.9426 0.7253 0.0885
0.4171 0.7718 0.5573
0.1976 0.9993 0.3750
0.8756 0.4984 0.6972
0.0885 0.9426 0.7253
0.4984 0.6972 0.8756
0.6972 0.8756 0.4984
```

Values from the calculation:
For the energy with MP2020 corrections, the calculation gives -8.114 eV/atom. The size of the total moment comes out at 0.99 μB per formula unit. As for the space group: R3, No. 146.

=====

# 2
Below is an optimized crystal structure of Al2O3, with properties calculated at the PBE level.

Geometry as POSCAR:
```
Al2O3
1.0
10.9683 0.4146 -0.1818
0.3904 9.9351 -0.3446
-0.1725 -0.3398 9.9800
Al O
40 60
direct
0.3784 0.5918 0.3582
0.3979 0.0073 0.9083
0.9047 0.6802 0.6127
0.9811 0.5005 0.8409
0.2493 0.8098 0.7785
0.8885 0.2128 0.6645
0.3255 0.2664 0.6000
0.9183 0.0655 0.0189
0.3119 0.7851 0.0982
0.0991 0.3579 0.6124
0.8138 0.5585 0.1474
0.6462 0.1799 0.9828
0.7454 0.1493 0.2626
0.4903 0.8550 0.6189
0.0060 0.9158 0.7491
0.9825 0.3141 0.1197
0.7717 0.3670 0.9037
0.9971 0.1009 0.3041
0.5173 0.9921 0.4005
0.3357 0.3037 0.0281
0.4886 0.2870 0.2437
0.8347 0.7698 0.9325
0.6219 0.7340 0.3104
0.1099 0.8549 0.2488
0.1773 0.6189 0.5923
0.2620 0.0030 0.3946
0.7766 0.9525 0.5114
0.5105 0.5461 0.0903
0.8554 0.4237 0.4342
0.6091 0.6619 0.8567
0.1582 0.5457 0.0854
0.6260 0.5787 0.5620
0.3280 0.5549 0.8435
0.2292 0.3109 0.3261
0.1396 0.1377 0.8381
0.0623 0.5986 0.3455
0.5228 0.3450 0.7360
0.8608 0.8589 0.2383
0.5914 0.9198 0.0721
0.6322 0.2474 0.5164
0.5486 0.8859 0.2513
0.3032 0.1616 0.9191
0.8768 0.8593 0.6218
0.5788 0.7068 0.6871
0.0250 0.4787 0.0125
0.1880 0.2225 0.6892
0.3007 0.1700 0.4333
0.6174 0.3137 0.8730
0.9906 0.9594 0.1638
0.4020 0.6494 0.1902
0.5481 0.0541 0.9516
0.1035 0.9950 0.3979
0.7533 0.1413 0.5995
0.6097 0.4162 0.6137
0.6134 0.9317 0.5392
0.4851 0.5863 0.9195
0.8586 0.7166 0.1001
0.7974 0.1662 0.9315
0.7297 0.5454 0.8916
0.3324 0.2399 0.1909
0.8293 0.3960 0.0698
0.9962 0.0925 0.7225
0.1614 0.7152 0.1365
0.4731 0.3804 0.0857
0.3898 0.9076 0.7519
0.3141 0.6477 0.6893
0.7870 0.5711 0.5371
0.1626 0.4737 0.2456
0.2176 0.3965 0.5077
0.2689 0.7170 0.9264
0.6283 0.2203 0.1563
0.2656 0.4595 0.9783
0.0228 0.5821 0.5176
0.8918 0.3587 0.7839
0.6682 0.8052 0.9413
0.2323 0.6539 0.4257
0.8857 0.1845 0.1850
0.5326 0.6567 0.4307
0.2637 0.9121 0.2330
0.6499 0.5987 0.1804
0.9975 0.7633 0.3197
0.0820 0.2462 0.2711
0.1637 0.9600 0.8446
0.4910 0.2097 0.6158
0.9560 0.3108 0.5358
0.3930 0.9206 0.4787
0.8481 0.0344 0.3738
0.7374 0.3111 0.3931
0.1082 0.4942 0.7361
0.1083 0.7792 0.6759
0.9072 0.6604 0.7950
0.9179 0.9120 0.9036
0.9118 0.5016 0.2917
0.4254 0.8847 0.0302
0.3697 0.3960 0.7464
0.0408 0.1851 0.9876
0.7610 0.8007 0.3661
0.5666 0.1519 0.3698
0.4296 0.4189 0.3614
0.7415 0.9767 0.1432
```

Values from the calculation:
For the energy with MP2020 corrections, the calculation gives -7.722 eV/atom. The size of the total moment comes out at 0.00 μB per formula unit. As for the space group: P1, No. 1.

=====

# 3
Below is an optimized crystal structure of Mg14CuCO16, with properties calculated at the PBE level.

Geometry as POSCAR:
```
Mg14CuCO16
1.0
8.5184 0.0000 0.0000
0.0000 8.4766 0.0000
0.0000 0.0000 4.2325
Mg Cu C O
14 1 1 16
direct
0.5000 0.0000 0.0000
0.5000 0.5000 0.0000
0.0000 0.2523 0.5000
0.0000 0.7477 0.5000
0.5000 0.2503 0.5000
0.5000 0.7497 0.5000
0.2480 0.0000 0.5000
0.2460 0.5000 0.5000
0.7520 0.0000 0.5000
0.7540 0.5000 0.5000
0.2471 0.2516 0.0000
0.2471 0.7484 0.0000
0.7529 0.2516 0.0000
0.7529 0.7484 0.0000
0.0000 0.0000 0.0000
0.0000 0.5000 0.0000
0.2519 0.0000 0.0000
0.2509 0.5000 0.0000
0.7481 0.0000 0.0000
0.7491 0.5000 0.0000
0.2479 0.2505 0.5000
0.2479 0.7495 0.5000
0.7521 0.2505 0.5000
0.7521 0.7495 0.5000
0.0000 0.0000 0.5000
0.0000 0.5000 0.5000
0.5000 0.0000 0.5000
0.5000 0.5000 0.5000
0.0000 0.2544 0.0000
0.0000 0.7456 0.0000
0.5000 0.2506 0.0000
0.5000 0.7494 0.0000
```

Values from the calculation:
For the energy with MP2020 corrections, the calculation gives -6.183 eV/atom. The size of the total moment comes out at 0.62 μB per formula unit. As for the space group: Pmmm, No. 47.

=====

Among the records above, which one has the lowest energy with MP2020 corrections? Ti3NbCu2P6O24

=====

Repeat the third record exactly.
Below is an optimized crystal structure of Mg14CuCO16, with properties calculated at the PBE level.

Geometry as POSCAR:
```
Mg14CuCO16
1.0
8.5184 0.0000 0.0000
0.0000 8.4766 0.0000
0.0000 0.0000 4.2325
Mg Cu C O
14 1 1 16
direct
0.5000 0.0000 0.0000
0.5000 0.5000 0.0000
0.0000 0.2523 0.5000
0.0000 0.7477 0.5000
0.5000 0.2503 0.5000
0.5000 0.7497 0.5000
0.2480 0.0000 0.5000
0.2460 0.5000 0.5000
0.7520 0.0000 0.5000
0.7540 0.5000 0.5000
0.2471 0.2516 0.0000
0.2471 0.7484 0.0000
0.7529 0.2516 0.0000
0.7529 0.7484 0.0000
0.0000 0.0000 0.0000
0.0000 0.5000 0.0000
0.2519 0.0000 0.0000
0.2509 0.5000 0.0000
0.7481 0.0000 0.0000
0.7491 0.5000 0.0000
0.2479 0.2505 0.5000
0.2479 0.7495 0.5000
0.7521 0.2505 0.5000
0.7521 0.7495 0.5000
0.0000 0.0000 0.5000
0.0000 0.5000 0.5000
0.5000 0.0000 0.5000
0.5000 0.5000 0.5000
0.0000 0.2544 0.0000
0.0000 0.7456 0.0000
0.5000 0.2506 0.0000
0.5000 0.7494 0.0000
```

Values from the calculation:
For the energy with MP2020 corrections, the calculation gives -6.183 eV/atom. The size of the total moment comes out at 0.62 μB per formula unit. As for the space group: Pmmm, No. 47.

=====

What is the formula in the first record? Ti3NbCu2P6O24